1.
The following is a DFT calculation (PBE with a Hubbard U) of a relaxed structure of Mn3TeO8.

a = 10.3902 Å, b = 5.9263 Å, c = 5.8745 Å
α = 90.00°, β = 119.96°, γ = 90.00°
Last column: nearest neighbours and their distance in Å.
Space group C2/m (No. 12)
Asymmetric unit:
Mn1 0.0000 0.0000 0.0000  6 O 1.96-1.97
Mn2 0.2500 0.2500 0.5000  4 O 1.95-1.99
Te1 0.0000 0.5000 0.0000  6 O 1.95-1.99
O1 0.0101 0.2525 0.7906  1 Te 1.95, 1 Mn 1.97
O2 0.2120 0.0000 0.2597  3 Mn 1.95-1.96
O3 0.2174 0.5000 0.2510  1 Te 1.99, 2 Mn 1.99

Values from the calculation:
For the density, the calculation gives 4.455 g cm⁻³. The calculated total energy comes out at -6.6920 eV/atom. As for the crystal system: monoclinic.

***

2.
The following is a DFT calculation (PBE with a Hubbard U) of a relaxed structure of Li32Mn3Cr13O48.

a = 5.0315 Å, b = 8.7114 Å, c = 19.4950 Å
α = 81.91°, β = 85.16°, γ = 89.63°
Last column: nearest neighbours and their distance in Å.
Space group P1 (No. 1)
Asymmetric unit:
Li1 0.0000 0.0000 0.0000  6 O 2.07-2.20
Li2 0.9999 0.0003 0.4991  6 O 2.06-2.23
Li3 0.0088 0.3288 0.4998  6 O 2.02-2.21
Li4 0.0087 0.3299 0.9993  6 O 2.03-2.22
Li5 0.0131 0.6613 0.4999  6 O 2.05-2.22
Li6 0.0177 0.6605 0.9998  6 O 2.07-2.23
Li7 0.1315 0.4539 0.6246  6 O 2.08-2.14
Li8 0.1330 0.4554 0.1247  6 O 2.08-2.14
Li9 0.2469 0.2503 0.7497  6 O 2.04-2.23
Li10 0.2497 0.2485 0.2501  6 O 2.04-2.22
Li11 0.2563 0.5815 0.2494  6 O 2.03-2.19
Li12 0.2598 0.5805 0.7502  6 O 2.04-2.21
Li13 0.2609 0.9104 0.2504  6 O 2.05-2.21
Li14 0.2643 0.9095 0.7496  6 O 2.05-2.21
Li15 0.3805 0.7071 0.3743  6 O 2.08-2.14
Li16 0.3807 0.7037 0.8745  6 O 2.08-2.15
Li17 0.4967 0.4980 0.0000  6 O 2.05-2.25
Li18 0.5015 0.4987 0.5005  6 O 2.05-2.25
Li19 0.5055 0.8295 0.0003  6 O 2.04-2.21
Li20 0.5083 0.8321 0.4994  6 O 2.03-2.20
Li21 0.5160 0.1612 0.4988  6 O 2.05-2.24
Li22 0.5176 0.1630 0.9990  6 O 2.04-2.24
Li23 0.6332 0.9551 0.6247  6 O 2.08-2.14
Li24 0.6339 0.9561 0.1247  6 O 2.08-2.13
Li25 0.7516 0.7505 0.7495  6 O 2.07-2.19
Li26 0.7562 0.0814 0.2501  6 O 2.03-2.22
Li27 0.7557 0.7506 0.2492  6 O 2.05-2.26
Li28 0.7569 0.0812 0.7490  6 O 2.03-2.20
Li29 0.7662 0.4089 0.2492  6 O 2.05-2.23
Li30 0.7670 0.4107 0.7498  6 O 2.05-2.22
Li31 0.8828 0.2026 0.3750  6 O 2.08-2.15
Li32 0.8845 0.2070 0.8748  6 O 2.09-2.15
Mn1 0.1328 0.7883 0.1247  6 O 1.92-1.94
Mn2 0.3792 0.0401 0.3756  6 O 1.91-1.97
Mn3 0.6345 0.6229 0.6242  6 O 1.92-1.95
Cr1 0.1300 0.7843 0.6251  6 O 1.91-1.98
Cr2 0.1359 0.1181 0.1250  6 O 1.89-1.99
Cr3 0.1358 0.1181 0.6249  6 O 1.90-2.00
Cr4 0.3794 0.0326 0.8758  6 O 1.87-2.00
Cr5 0.3865 0.3767 0.3742  6 O 1.88-2.00
Cr6 0.3880 0.3686 0.8751  6 O 1.89-2.00
Cr7 0.6279 0.2917 0.1248  6 O 1.89-1.99
Cr8 0.6281 0.2923 0.6244  6 O 1.89-1.99
Cr9 0.6392 0.6250 0.1242  6 O 1.91-1.99
Cr10 0.8769 0.8702 0.3749  6 O 1.90-1.98
Cr11 0.8781 0.5423 0.8743  6 O 1.89-2.00
Cr12 0.8848 0.8780 0.8736  6 O 1.87-1.99
Cr13 0.8858 0.5332 0.3736  6 O 1.88-1.99
O1 0.0435 0.7197 0.3184  2 Cr 1.95-1.97, 3 Li 2.05-2.15
O2 0.0447 0.7282 0.8185  2 Cr 1.93-1.97, 3 Li 2.07-2.17
O3 0.0701 0.0429 0.8185  2 Cr 1.87-1.99, 2 Li 2.08-2.09
O4 0.0738 0.4052 0.3166  2 Cr 1.88-2.00, 1 Li 2.04
O5 0.0798 0.0433 0.3192  1 Mn 1.94, 1 Cr 1.97, 2 Li 2.05-2.08
O6 0.0815 0.4036 0.8177  2 Cr 1.97-1.98, 4 Li 2.04-2.14
O7 0.1837 0.5068 0.9315  2 Cr 1.97, 4 Li 2.04-2.14
O8 0.1863 0.8663 0.4306  1 Mn 1.94, 1 Cr 1.97, 2 Li 2.06-2.08
O9 0.1931 0.5032 0.4322  2 Cr 1.89-1.99, 1 Li 2.04
O10 0.1946 0.8676 0.9310  2 Cr 1.87-1.99, 2 Li 2.07-2.09
O11 0.2208 0.1879 0.4303  1 Mn 1.91, 1 Cr 1.99, 2 Li 2.07-2.08
O12 0.2215 0.1823 0.9309  2 Cr 1.93-1.97, 2 Li 2.07-2.09
O13 0.2884 0.9726 0.5692  2 Cr 1.90-1.97, 2 Li 2.07-2.11
O14 0.2933 0.9721 0.0690  1 Cr 1.91, 1 Mn 1.94, 2 Li 2.07-2.10
O15 0.3265 0.6528 0.0675  1 Mn 1.94, 1 Cr 1.99, 4 Li 2.04-2.14
O16 0.3319 0.6540 0.5679  1 Cr 1.93, 1 Mn 1.95, 3 Li 2.05-2.14
O17 0.3388 0.2942 0.0684  2 Cr 1.89-1.99, 2 Li 2.04-2.11
O18 0.3396 0.2947 0.5684  2 Cr 1.89-2.00, 2 Li 2.05-2.11
O19 0.4260 0.1155 0.1809  2 Cr 1.89-1.99, 2 Li 2.04-2.11
O20 0.4264 0.1167 0.6812  2 Cr 1.90-1.99, 2 Li 2.04-2.12
O21 0.4342 0.7564 0.1812  1 Cr 1.94, 1 Mn 1.94, 3 Li 2.03-2.16
O22 0.4399 0.7572 0.6818  1 Mn 1.94, 1 Cr 1.98, 4 Li 2.05-2.14
O23 0.4735 0.4381 0.6803  1 Cr 1.91, 1 Mn 1.95, 2 Li 2.08-2.10
O24 0.4755 0.4362 0.1808  2 Cr 1.90-1.99, 2 Li 2.05-2.11
O25 0.5384 0.2243 0.8193  2 Cr 1.89-2.00, 1 Li 2.07
O26 0.5412 0.2228 0.3194  1 Mn 1.94, 1 Cr 1.95, 3 Li 2.07-2.17
O27 0.5725 0.5412 0.3179  2 Cr 1.88-1.98, 1 Li 2.07
O28 0.5732 0.9078 0.8170  2 Cr 1.90-1.99, 2 Li 2.04-2.12
O29 0.5826 0.9042 0.3181  1 Cr 1.92, 1 Mn 1.97, 2 Li 2.04-2.12
O30 0.5892 0.5461 0.8183  2 Cr 1.89-2.00, 2 Li 2.05-2.10
O31 0.6766 0.3643 0.9310  2 Cr 1.89-2.00, 2 Li 2.05-2.09
O32 0.6799 0.0107 0.4323  1 Mn 1.94, 1 Cr 1.98, 4 Li 2.03-2.15
O33 0.6918 0.0032 0.9325  2 Cr 1.90-1.99, 2 Li 2.04-2.11
O34 0.6944 0.3710 0.4310  2 Cr 1.89-1.97, 1 Li 2.05
O35 0.7265 0.6867 0.9298  2 Cr 1.89-1.99, 1 Li 2.07
O36 0.7284 0.6892 0.4297  2 Cr 1.90-1.98, 1 Li 2.05
O37 0.7890 0.4779 0.0683  2 Cr 1.91-1.97, 2 Li 2.06-2.12
O38 0.7976 0.4774 0.5683  1 Mn 1.92, 1 Cr 1.97, 2 Li 2.06-2.08
O39 0.8245 0.7944 0.5687  1 Mn 1.93, 1 Cr 1.96, 2 Li 2.06-2.08
O40 0.8322 0.7959 0.0685  1 Cr 1.93, 1 Mn 1.94, 2 Li 2.07-2.09
O41 0.8355 0.1537 0.0676  2 Cr 1.95-1.99, 4 Li 2.03-2.16
O42 0.8348 0.1549 0.5680  2 Cr 1.95-1.97, 4 Li 2.02-2.18
O43 0.9308 0.2561 0.1818  2 Cr 1.96-1.98, 4 Li 2.03-2.17
O44 0.9306 0.2580 0.6820  2 Cr 1.96-1.99, 4 Li 2.03-2.15
O45 0.9354 0.6164 0.6802  1 Cr 1.91, 1 Mn 1.94, 2 Li 2.07-2.09
O46 0.9393 0.6162 0.1803  1 Cr 1.93, 1 Mn 1.94, 2 Li 2.06-2.08
O47 0.9688 0.9333 0.1809  1 Mn 1.92, 1 Cr 1.96, 3 Li 2.07-2.15
O48 0.9745 0.9337 0.6809  2 Cr 1.93-1.95, 2 Li 2.05-2.11

Values from the calculation:
For the density, the calculation gives 3.607 g cm⁻³. The calculated total energy comes out at -6.2604 eV/atom. As for the crystal system: triclinic.

***

3.
The following is a DFT calculation (PBE with a Hubbard U) of a relaxed structure of VHgO3.

a = 3.8644 Å, b = 3.8644 Å, c = 3.8644 Å
α = 90.00°, β = 90.00°, γ = 90.00°
Last column: nearest neighbours and their distance in Å.
Space group Pm-3m (No. 221)
Asymmetric unit:
V1 0.0000 0.0000 0.0000  6 O 1.93
Hg1 0.5000 0.5000 0.5000  12 O 2.73
O1 0.0000 0.0000 0.5000  2 V 1.93

Values from the calculation:
For the density, the calculation gives 8.619 g cm⁻³. The calculated total energy comes out at -5.5958 eV/atom. As for the crystal system: cubic.

***

4.
The following is a DFT calculation (PBE with a Hubbard U) of a relaxed structure of Li5CoNi4O10.

a = 23.8398 Å, b = 2.9024 Å, c = 5.0456 Å
α = 90.00°, β = 94.85°, γ = 90.00°
Last column: nearest neighbours and their distance in Å.
Space group C2/m (No. 12)
Asymmetric unit:
Li1 0.0000 0.0000 0.0000  6 O 2.04-2.11
Li2 0.1028 0.5000 0.1976  6 O 2.06-2.25
Li3 0.1993 0.0000 0.4003  6 O 2.03-2.18
Co1 0.0000 0.5000 0.5000  6 O 1.88-1.93
Ni1 0.1005 0.0000 0.7022  6 O 2.03-2.08
Ni2 0.1997 0.5000 0.9063  6 O 1.90-2.01
O1 0.0432 0.0000 0.3667  2 Co 1.93, 1 Li 2.04, 1 Ni 2.08
O2 0.0480 0.5000 0.8150  1 Co 1.88, 2 Ni 2.03
O3 0.1522 0.0000 0.0459  3 Ni 2.00-2.04, 3 Li 2.03-2.06
O4 0.1522 0.5000 0.5833  3 Ni 1.90-2.03, 2 Li 2.10
O5 0.2494 0.0000 0.7810  3 Ni 1.91-2.01

Values from the calculation:
For the density, the calculation gives 4.663 g cm⁻³. The calculated total energy comes out at -5.0181 eV/atom. As for the crystal system: monoclinic.

***

5.
The following is a DFT calculation (PBE with a Hubbard U) of a relaxed structure of Cs2MnF6.

a = 9.1498 Å, b = 9.1498 Å, c = 9.1498 Å
α = 90.00°, β = 90.00°, γ = 90.00°
Last column: nearest neighbours and their distance in Å.
Space group Fm-3m (No. 225)
Asymmetric unit:
Cs1 0.2500 0.2500 0.2500  12 F 3.26
Mn1 0.0000 0.0000 0.0000  6 F 1.85
F1 0.0000 0.0000 0.2024  1 Mn 1.85

Values from the calculation:
For the density, the calculation gives 3.770 g cm⁻³. The calculated total energy comes out at -4.9116 eV/atom. As for the crystal system: cubic.

***

6.
The following is a DFT calculation (PBE with a Hubbard U) of a relaxed structure of Sr24Fe16O55.

a = 12.3757 Å, b = 20.3978 Å, c = 11.0687 Å
α = 90.00°, β = 116.56°, γ = 90.00°
Last column: nearest neighbours and their distance in Å.
Space group C2/m (No. 12)
Asymmetric unit:
Sr1 0.0000 0.0000 0.0000  12 O 2.76-2.77
Sr2 0.0000 0.0000 0.5000  12 O 2.75-2.77
Sr3 0.0000 0.1811 0.0000  5 O 2.45-2.63
Sr4 0.0000 0.1825 0.5000  9 O 2.51-2.81
Sr5 0.0002 0.3169 0.2512  9 O 2.51-2.80
Sr6 0.0001 0.5000 0.2592  11 O 2.67-2.78
Sr7 0.2409 0.0000 0.8705  11 O 2.67-2.78
Sr8 0.2483 0.1833 0.8745  9 O 2.53-2.80
Sr9 0.2485 0.0000 0.3742  12 O 2.75-2.78
Sr10 0.2499 0.1828 0.3746  9 O 2.54-2.82
Fe1 0.0000 0.3946 0.0000  5 O 1.90-1.91
Fe2 0.0000 0.4023 0.5000  6 O 1.95-1.99
Fe3 0.0005 0.0973 0.2506  6 O 1.94-1.98
Fe4 0.2494 0.4034 0.3741  6 O 1.96-2.02
Fe5 0.2491 0.4035 0.8752  6 O 1.96-2.02
O1 0.0001 0.0000 0.2502  2 Fe 1.98
O2 0.9999 0.1936 0.2509  1 Fe 1.97
O3 0.0000 0.3014 0.0000  1 Fe 1.90
O4 0.0000 0.3058 0.5000  1 Fe 1.97
O5 0.0000 0.5000 0.5000  2 Fe 1.99
O6 0.1204 0.4101 0.9396  2 Fe 1.91-2.02
O7 0.1206 0.4100 0.1809  2 Fe 1.91-2.02
O8 0.1254 0.0954 0.9370  2 Fe 1.96
O9 0.1248 0.0958 0.1882  2 Fe 1.95-1.98
O10 0.1245 0.0959 0.4371  2 Fe 1.94-1.97
O11 0.1253 0.0955 0.6880  2 Fe 1.96
O12 0.1249 0.4043 0.4374  2 Fe 1.96
O13 0.1246 0.4044 0.6873  2 Fe 1.95-1.96
O14 0.2457 0.3075 0.8762  1 Fe 1.96
O15 0.2466 0.3071 0.3700  1 Fe 1.96
O16 0.2489 0.0000 0.1257  2 Fe 1.97
O17 0.2488 0.0000 0.6232  2 Fe 1.97

Values from the calculation:
For the density, the calculation gives 5.151 g cm⁻³. The calculated total energy comes out at -6.3533 eV/atom. As for the crystal system: monoclinic.

***

7.
The following is a DFT calculation (PBE with a Hubbard U) of a relaxed structure of Sr2CaPr2Fe2Ru2O12.

a = 5.9608 Å, b = 6.2032 Å, c = 7.7514 Å
α = 88.72°, β = 86.91°, γ = 83.66°
Last column: nearest neighbours and their distance in Å.
Space group P1 (No. 1)
Asymmetric unit:
Sr1 0.0000 0.0000 0.0000  7 O 2.45-2.73
Sr2 0.4261 0.6383 0.4962  6 O 2.48-2.70
Ca1 0.5757 0.7723 0.0800  4 O 2.19-2.30
Pr1 0.3101 0.4395 0.9460  5 O 2.25-2.50
Pr2 0.9509 0.1324 0.5015  8 O 2.47-2.64
Fe1 0.4810 0.1601 0.2775  4 O 1.98-2.14
Fe2 0.8586 0.5614 0.7347  4 O 1.96-1.99
Ru1 0.4700 0.0657 0.7423  6 O 2.01-2.18
Ru2 0.9637 0.5648 0.2599  6 O 1.99-2.17
O1 0.0314 0.5261 0.5111  1 Fe 1.97, 1 Ru 2.01
O2 0.1313 0.2396 0.7701  1 Ru 2.18, 1 Pr 2.25
O3 0.1522 0.2661 0.2132  1 Fe 2.08, 1 Ru 2.09
O4 0.2440 0.7045 0.2012  1 Ru 1.99, 1 Ca 2.22
O5 0.3504 0.7879 0.8209  1 Ru 2.01
O6 0.3649 0.0397 0.4995  1 Fe 1.98, 1 Ru 2.03
O7 0.5566 0.1175 0.0071  1 Fe 2.14, 1 Ru 2.18, 1 Ca 2.19
O8 0.6369 0.3586 0.6971  1 Fe 1.96, 1 Ru 2.18
O9 0.6987 0.3917 0.3068  1 Ru 2.02, 1 Fe 2.06
O10 0.7810 0.8749 0.7072  1 Fe 1.96, 1 Ru 2.09
O11 0.7928 0.8713 0.2945  1 Ru 2.07, 1 Ca 2.30
O12 0.9087 0.5881 0.9852  1 Fe 1.99, 1 Ru 2.17

Values from the calculation:
For the density, the calculation gives 5.856 g cm⁻³. The calculated total energy comes out at -6.9893 eV/atom. As for the crystal system: triclinic.

***

8.
The following is a DFT calculation (PBE with a Hubbard U) of a relaxed structure of Li7Ni9O16.

a = 4.9971 Å, b = 5.7489 Å, c = 10.4705 Å
α = 74.22°, β = 77.03°, γ = 73.60°
Last column: nearest neighbours and their distance in Å.
Space group P-1 (No. 2)
Asymmetric unit:
Li1 0.0000 0.0000 0.0000  6 O 2.05-2.13
Li2 0.4944 0.3129 0.1268  5 O 1.99-2.23
Li3 0.4999 0.0594 0.6252  6 O 2.02-2.18
Li4 0.4998 0.4361 0.3721  6 O 2.03-2.24
Ni1 0.0000 0.5000 0.0000  6 O 2.03-2.05
Ni2 0.0006 0.1244 0.2466  6 O 2.01-2.10
Ni3 0.0008 0.2494 0.4996  6 O 1.93-2.09
Ni4 0.0051 0.6220 0.2494  6 O 1.87-1.95
Ni5 0.4985 0.1834 0.8783  6 O 2.02-2.10
O1 0.2117 0.4169 0.5697  3 Ni 1.94-1.97, 2 Li 2.13-2.17
O2 0.2237 0.9178 0.5570  3 Ni 1.93-2.10, 3 Li 2.09-2.16
O3 0.2294 0.3006 0.3096  3 Ni 1.89-2.05, 2 Li 2.03-2.06
O4 0.2288 0.5214 0.8106  4 Ni 1.90-2.07, 1 Li 2.08
O5 0.2288 0.6506 0.0793  3 Ni 1.87-2.05, 2 Li 2.02-2.06
O6 0.2334 0.0616 0.8020  3 Ni 1.88-2.05, 1 Li 2.02
O7 0.2329 0.7711 0.3074  4 Ni 1.88-2.10, 1 Li 2.05
O8 0.2549 0.1577 0.0624  2 Li 1.99-2.05, 4 Ni 2.02-2.05

Values from the calculation:
For the density, the calculation gives 5.045 g cm⁻³. The calculated total energy comes out at -4.9016 eV/atom. As for the crystal system: triclinic.

***

9.
The following is a DFT calculation (PBE with a Hubbard U) of a relaxed structure of Sr2GdMnCrO7.

a = 3.8584 Å, b = 3.8584 Å, c = 20.2411 Å
α = 90.00°, β = 90.00°, γ = 90.00°
Last column: nearest neighbours and their distance in Å.
Space group I4mm (No. 107)
Asymmetric unit:
Sr1 0.0000 0.0000 0.0000  9 O 2.44-2.73
Sr2 0.0000 0.0000 0.3667  9 O 2.55-2.75
Gd1 0.0000 0.0000 0.1882  12 O 2.54-2.73
Mn1 0.0000 0.0000 0.5871  6 O 1.88-1.93
Cr1 0.0000 0.0000 0.7806  6 O 1.94-2.04
O1 0.0000 0.0000 0.4927  1 Mn 1.91
O2 0.0000 0.0000 0.6797  1 Mn 1.88, 1 Cr 2.04
O3 0.0000 0.0000 0.8794  1 Cr 2.00
O4 0.0000 0.5000 0.0934  2 Mn 1.93
O5 0.0000 0.5000 0.2697  2 Cr 1.94

Values from the calculation:
For the density, the calculation gives 6.077 g cm⁻³. The calculated total energy comes out at -8.0370 eV/atom. As for the crystal system: tetragonal.